The following is a DFT calculation (PBE-GGA) of a geometry-optimized Na3MgSnP3O12 structure.

Results
**Formation energy from the elements**: -2.65 eV/atom
**M_tot**: 0.0 μB per cell
**Energy**: -6.50 eV per atom
**Corrected total energy (MP2020 scheme)**: -6.9093 eV per atom

Unit cell a=15.498 b=8.964 c=8.938 alpha=90.00 beta=124.77 gamma=90.00
Fractional positions:
Sn 0.398 0.744 0.448
Sn 0.898 0.244 0.448
Sn 0.898 0.756 0.948
Sn 0.398 0.256 0.948
O 0.347 0.922 0.258
O 0.432 0.547 0.581
O 0.240 0.313 0.754
O 0.153 0.438 0.242
O 0.563 0.547 0.929
O 0.432 0.453 0.081
O 0.757 0.340 0.748
O 0.076 0.850 0.747
O 0.350 0.129 0.084
O 0.456 0.152 0.433
O 0.740 0.187 0.254
O 0.548 0.829 0.563
O 0.548 0.171 0.063
O 0.563 0.453 0.429
O 0.916 0.848 0.754
O 0.063 0.953 0.429
O 0.257 0.160 0.248
O 0.416 0.348 0.754
O 0.048 0.671 0.063
O 0.240 0.687 0.254
O 0.456 0.848 0.933
O 0.347 0.078 0.758
O 0.142 0.341 0.905
O 0.576 0.350 0.747
O 0.642 0.841 0.905
O 0.576 0.650 0.247
O 0.063 0.047 0.929
O 0.142 0.659 0.405
O 0.956 0.348 0.933
O 0.932 0.047 0.581
O 0.076 0.150 0.247
O 0.153 0.562 0.742
O 0.956 0.652 0.433
O 0.916 0.152 0.254
O 0.350 0.871 0.584
O 0.653 0.062 0.742
O 0.757 0.660 0.248
O 0.653 0.938 0.242
O 0.850 0.371 0.584
O 0.257 0.840 0.748
O 0.932 0.953 0.081
O 0.740 0.813 0.754
O 0.416 0.652 0.254
O 0.048 0.329 0.563
O 0.847 0.578 0.758
O 0.847 0.422 0.258
O 0.642 0.159 0.405
O 0.850 0.629 0.084
Na 0.184 0.058 0.784
Na 0.753 0.224 0.989
Na 0.503 0.887 0.249
Na 0.253 0.724 0.989
Na 0.253 0.276 0.489
Na 0.003 0.387 0.249
Na 0.003 0.613 0.749
Na 0.184 0.942 0.284
Na 0.753 0.776 0.489
Na 0.503 0.113 0.749
Na 0.684 0.442 0.284
Na 0.684 0.558 0.784
P 0.354 0.100 0.263
P 0.854 0.400 0.763
P 0.500 0.548 0.259
P 0.647 0.892 0.749
P 0.500 0.452 0.759
P 0.000 0.048 0.259
P 0.854 0.600 0.263
P 0.147 0.608 0.249
P 0.354 0.900 0.763
P 0.000 0.952 0.759
P 0.147 0.392 0.749
P 0.647 0.108 0.249
Mg 0.603 0.750 0.061
Mg 0.103 0.250 0.061
Mg 0.603 0.250 0.561
Mg 0.103 0.750 0.561

The following is a DFT calculation (PBE-GGA) of a geometry-optimized Na10Mg3Sn5P12O48 structure.

Results
**Formation energy from the elements**: -2.62 eV/atom
**M_tot**: 0.0 μB per cell
**Energy**: -6.56 eV per atom
**Corrected total energy (MP2020 scheme)**: -6.9819 eV per atom
**Space-group type**: P1 (1)

Unit cell a=8.900 b=15.393 c=22.302 alpha=90.05 beta=90.01 gamma=90.00
Fractional positions:
Na 0.000 0.000 0.000
Na 0.001 0.333 0.670
Na 0.016 0.637 0.000
Na 0.019 0.969 0.671
Na 0.135 0.134 0.500
Na 0.136 0.469 0.171
Na 0.154 0.833 0.169
Na 0.192 0.143 0.171
Na 0.311 0.649 0.418
Na 0.325 0.315 0.756
Na 0.327 0.315 0.254
Na 0.330 0.650 0.924
Na 0.335 0.976 0.582
Na 0.343 0.980 0.083
Na 0.464 0.143 0.671
Na 0.501 0.834 0.670
Na 0.519 0.469 0.671
Na 0.635 0.634 0.499
Na 0.637 0.970 0.169
Na 0.651 0.667 0.840
Na 0.655 0.333 0.170
Na 0.691 0.643 0.169
Na 0.694 0.977 0.839
Na 0.811 0.149 0.419
Na 0.817 0.476 0.083
Na 0.824 0.162 0.923
Na 0.827 0.815 0.254
Na 0.835 0.475 0.582
Na 0.846 0.814 0.761
Na 0.962 0.642 0.671
Mg 0.321 0.649 0.561
Mg 0.325 0.983 0.734
Mg 0.327 0.982 0.234
Mg 0.335 0.649 0.062
Mg 0.821 0.149 0.561
Mg 0.822 0.151 0.062
Mg 0.828 0.480 0.734
Mg 0.828 0.482 0.234
Mg 0.834 0.814 0.898
Sn 0.320 0.648 0.768
Sn 0.326 0.316 0.897
Sn 0.327 0.315 0.097
Sn 0.328 0.648 0.269
Sn 0.329 0.317 0.395
Sn 0.329 0.317 0.596
Sn 0.329 0.981 0.932
Sn 0.330 0.980 0.430
Sn 0.825 0.479 0.932
Sn 0.825 0.816 0.096
Sn 0.828 0.149 0.269
Sn 0.828 0.817 0.597
Sn 0.829 0.817 0.395
Sn 0.830 0.480 0.430
Sn 0.831 0.151 0.768
P 0.030 0.983 0.831
P 0.031 0.317 0.499
P 0.034 0.649 0.162
P 0.122 0.150 0.662
P 0.124 0.816 0.999
P 0.125 0.483 0.330
P 0.177 0.130 0.332
P 0.177 0.464 0.999
P 0.179 0.166 0.998
P 0.180 0.795 0.663
P 0.180 0.833 0.330
P 0.183 0.501 0.664
P 0.472 0.502 0.164
P 0.474 0.166 0.498
P 0.474 0.833 0.829
P 0.475 0.794 0.164
P 0.476 0.131 0.829
P 0.479 0.464 0.498
P 0.530 0.482 0.829
P 0.531 0.817 0.499
P 0.535 0.149 0.164
P 0.621 0.650 0.664
P 0.623 0.316 0.998
P 0.625 0.983 0.330
P 0.676 0.964 0.997
P 0.677 0.630 0.332
P 0.680 0.333 0.330
P 0.680 0.666 0.995
P 0.681 0.294 0.664
P 0.683 0.002 0.665
P 0.972 0.002 0.162
P 0.974 0.666 0.498
P 0.975 0.294 0.164
P 0.976 0.333 0.830
P 0.976 0.629 0.831
P 0.978 0.964 0.498
O 0.003 0.140 0.330
O 0.003 0.472 0.994
O 0.003 0.803 0.659
O 0.005 0.824 0.336
O 0.010 0.153 0.003
O 0.013 0.488 0.671
O 0.015 0.805 0.948
O 0.022 0.171 0.718
O 0.028 0.137 0.606
O 0.028 0.495 0.387
O 0.033 0.837 0.059
O 0.034 0.473 0.273
O 0.122 0.333 0.559
O 0.124 0.976 0.774
O 0.126 0.996 0.889
O 0.128 0.636 0.106
O 0.135 0.670 0.218
O 0.141 0.656 0.503
O 0.142 0.302 0.447
O 0.142 0.989 0.172
O 0.151 0.324 0.837
O 0.152 0.637 0.829
O 0.153 0.303 0.159
O 0.153 0.973 0.493
O 0.191 0.736 0.721
O 0.201 0.410 0.058
O 0.208 0.078 0.391
O 0.211 0.883 0.273
O 0.212 0.560 0.610
O 0.215 0.224 0.944
O 0.219 0.902 0.994
O 0.223 0.736 0.005
O 0.224 0.234 0.659
O 0.225 0.400 0.337
O 0.226 0.071 0.670
O 0.227 0.565 0.329
O 0.239 0.087 0.276
O 0.241 0.555 0.003
O 0.244 0.887 0.672
O 0.247 0.418 0.944
O 0.247 0.875 0.387
O 0.250 0.204 0.058
O 0.251 0.223 0.337
O 0.251 0.740 0.329
O 0.253 0.074 0.993
O 0.253 0.751 0.610
O 0.258 0.408 0.659
O 0.264 0.537 0.721
O 0.390 0.077 0.492
O 0.391 0.538 0.222
O 0.396 0.203 0.557
O 0.396 0.408 0.160
O 0.401 0.875 0.885
O 0.402 0.751 0.111
O 0.406 0.222 0.837
O 0.406 0.739 0.827
O 0.408 0.416 0.445
O 0.411 0.886 0.173
O 0.413 0.555 0.503
O 0.416 0.092 0.772
O 0.427 0.401 0.837
O 0.429 0.071 0.173
O 0.433 0.234 0.160
O 0.435 0.567 0.827
O 0.435 0.900 0.493
O 0.437 0.225 0.444
O 0.437 0.735 0.504
O 0.443 0.559 0.111
O 0.443 0.886 0.773
O 0.451 0.071 0.884
O 0.459 0.410 0.558
O 0.462 0.736 0.222
O 0.501 0.973 0.993
O 0.503 0.303 0.659
O 0.503 0.640 0.330
O 0.505 0.324 0.336
O 0.512 0.654 0.003
O 0.512 0.988 0.672
O 0.518 0.305 0.944
O 0.523 0.637 0.609
O 0.524 0.668 0.721
O 0.528 0.995 0.387
O 0.532 0.331 0.058
O 0.534 0.973 0.273
O 0.620 0.471 0.772
O 0.622 0.834 0.559
O 0.630 0.172 0.222
O 0.632 0.499 0.884
O 0.635 0.134 0.111
O 0.642 0.155 0.503
O 0.642 0.488 0.172
O 0.642 0.802 0.447
O 0.645 0.823 0.836
O 0.652 0.137 0.828
O 0.652 0.803 0.159
O 0.653 0.473 0.493
O 0.694 0.236 0.721
O 0.698 0.910 0.057
O 0.708 0.578 0.391
O 0.711 0.383 0.273
O 0.716 0.061 0.613
O 0.718 0.401 0.993
O 0.719 0.718 0.940
O 0.722 0.236 0.002
O 0.722 0.734 0.661
O 0.725 0.900 0.337
O 0.726 0.571 0.671
O 0.728 0.065 0.329
O 0.739 0.587 0.276
O 0.741 0.917 0.943
O 0.745 0.386 0.672
O 0.747 0.375 0.387
O 0.751 0.722 0.337
O 0.752 0.052 0.003
O 0.752 0.240 0.329
O 0.754 0.251 0.611
O 0.758 0.038 0.725
O 0.758 0.704 0.055
O 0.760 0.909 0.661
O 0.763 0.575 0.994
O 0.890 0.041 0.218
O 0.890 0.577 0.492
O 0.895 0.704 0.557
O 0.896 0.908 0.160
O 0.902 0.718 0.837
O 0.903 0.251 0.111
O 0.904 0.241 0.830
O 0.908 0.377 0.886
O 0.908 0.916 0.445
O 0.910 0.386 0.172
O 0.912 0.055 0.502
O 0.912 0.584 0.775
O 0.925 0.905 0.837
O 0.926 0.066 0.830
O 0.929 0.571 0.172
O 0.931 0.734 0.159
O 0.935 0.400 0.493
O 0.936 0.235 0.503
O 0.937 0.725 0.444
O 0.945 0.055 0.106
O 0.946 0.574 0.889
O 0.948 0.382 0.772
O 0.958 0.910 0.558
O 0.962 0.235 0.222

The following is a DFT calculation (PBE-GGA) of a geometry-optimized Na2SrMgP2O8 structure.

Results
**Formation energy from the elements**: -2.97 eV/atom
**Energy**: -6.60 eV per atom
**Corrected total energy (MP2020 scheme)**: -6.9929 eV per atom
**Space-group type**: P2_1/c (14)

Unit cell a=13.675 b=5.328 c=9.268 alpha=90.00 beta=90.05 gamma=90.00
Fractional positions:
Na 0.089 0.012 0.342
Na 0.089 0.488 0.842
Na 0.410 0.509 0.178
Na 0.410 0.991 0.678
Na 0.590 0.009 0.322
Na 0.590 0.491 0.822
Na 0.911 0.512 0.158
Na 0.911 0.988 0.658
Sr 0.250 0.030 0.029
Sr 0.250 0.470 0.529
Sr 0.750 0.530 0.471
Sr 0.750 0.970 0.971
Mg 0.000 0.000 0.000
Mg 0.000 0.500 0.500
Mg 0.500 0.000 0.000
Mg 0.500 0.500 0.500
P 0.132 0.518 0.176
P 0.132 0.982 0.676
P 0.367 0.506 0.843
P 0.367 0.994 0.343
P 0.633 0.006 0.657
P 0.633 0.494 0.157
P 0.868 0.018 0.324
P 0.868 0.482 0.824
O 0.081 0.207 0.598
O 0.081 0.293 0.098
O 0.088 0.734 0.616
O 0.088 0.766 0.116
O 0.110 0.504 0.341
O 0.110 0.996 0.841
O 0.242 0.509 0.146
O 0.242 0.991 0.646
O 0.257 0.029 0.317
O 0.257 0.471 0.817
O 0.390 0.737 0.417
O 0.390 0.763 0.917
O 0.408 0.209 0.440
O 0.408 0.291 0.940
O 0.422 0.002 0.195
O 0.422 0.498 0.695
O 0.578 0.502 0.305
O 0.578 0.998 0.805
O 0.592 0.709 0.060
O 0.592 0.791 0.560
O 0.610 0.237 0.083
O 0.610 0.263 0.583
O 0.743 0.529 0.183
O 0.743 0.971 0.683
O 0.758 0.009 0.354
O 0.758 0.491 0.854
O 0.890 0.004 0.159
O 0.890 0.496 0.659
O 0.912 0.234 0.884
O 0.912 0.266 0.384
O 0.919 0.707 0.902
O 0.919 0.793 0.402

The following is a DFT calculation (PBE-GGA) of a geometry-optimized Na2SrMgP2O8 structure.

Results
**Formation energy from the elements**: -2.97 eV/atom
**M_tot**: 0.0 μB per cell
**Energy**: -6.60 eV per atom
**Corrected total energy (MP2020 scheme)**: -6.9928 eV per atom
**Space-group type**: P2_1/c (14)

Unit cell a=9.242 b=5.335 c=13.693 alpha=90.00 beta=90.28 gamma=90.00
Fractional positions:
Na 0.084 0.228 0.407
Na 0.084 0.272 0.907
Na 0.416 0.230 0.090
Na 0.416 0.270 0.590
Na 0.584 0.730 0.410
Na 0.584 0.770 0.910
Na 0.916 0.728 0.093
Na 0.916 0.772 0.593
Sr 0.254 0.694 0.250
Sr 0.254 0.806 0.750
Sr 0.746 0.194 0.250
Sr 0.746 0.306 0.750
Mg 0.249 0.747 0.999
Mg 0.249 0.753 0.499
Mg 0.751 0.247 0.501
Mg 0.751 0.253 0.001
P 0.083 0.229 0.132
P 0.083 0.271 0.632
P 0.419 0.234 0.367
P 0.419 0.266 0.867
P 0.581 0.734 0.133
P 0.581 0.766 0.633
P 0.917 0.729 0.368
P 0.917 0.771 0.868
O 0.077 0.702 0.404
O 0.077 0.798 0.904
O 0.087 0.212 0.741
O 0.087 0.288 0.241
O 0.155 0.053 0.574
O 0.155 0.447 0.074
O 0.166 0.519 0.608
O 0.166 0.981 0.108
O 0.330 0.507 0.891
O 0.330 0.993 0.391
O 0.349 0.039 0.922
O 0.349 0.461 0.422
O 0.421 0.212 0.757
O 0.421 0.288 0.257
O 0.424 0.700 0.093
O 0.424 0.800 0.593
O 0.576 0.200 0.407
O 0.576 0.300 0.907
O 0.579 0.712 0.743
O 0.579 0.788 0.243
O 0.651 0.539 0.578
O 0.651 0.961 0.078
O 0.670 0.007 0.609
O 0.670 0.493 0.109
O 0.834 0.019 0.892
O 0.834 0.481 0.392
O 0.845 0.553 0.926
O 0.845 0.947 0.426
O 0.913 0.712 0.759
O 0.913 0.788 0.259
O 0.923 0.202 0.096
O 0.923 0.298 0.596